No. 1
## Cu6OF11 (GGA-PBE)

Data for crystalline Cu6OF11 at its relaxed geometry.

Cell: 5.666 6.034 7.112 Å, 74.67 72.05 67.01°
Space group P1 (No. 1)
Symmetry-distinct sites (fractional):
Cu (0.000, 0.000, 0.000)
Cu (0.005, 0.024, 0.486)
Cu (0.314, 0.382, 0.154)
Cu (0.331, 0.361, 0.654)
Cu (0.669, 0.691, 0.820)
Cu (0.686, 0.688, 0.313)
O (0.022, 0.659, 0.157)
F (0.084, 0.110, 0.197)
F (0.242, 0.280, 0.441)
F (0.320, 0.742, 0.471)
F (0.357, 0.974, 0.833)
F (0.415, 0.450, 0.864)
F (0.584, 0.609, 0.110)
F (0.626, 0.092, 0.140)
F (0.692, 0.310, 0.499)
F (0.756, 0.776, 0.529)
F (0.916, 0.941, 0.775)
F (0.974, 0.400, 0.812)

Properties
Energy of formation from the pure elements (eV per atom): -1.702
E above lowest polymorph (eV/atom): 0.001
Energy with MP2020 corrections (eV/atom): -4.513
VASP energy (eV/atom): -4.1925



No. 2
## Cu3OF5 (GGA-PBE)

Data for crystalline Cu3OF5 at its relaxed geometry.

Cell: 5.534 5.879 6.978 Å, 76.31 73.19 72.55°
Space group P1 (No. 1)
Symmetry-distinct sites (fractional):
Cu (0.000, 0.000, 0.000)
Cu (0.003, 0.999, 0.522)
Cu (0.318, 0.315, 0.666)
Cu (0.339, 0.335, 0.186)
Cu (0.646, 0.643, 0.344)
Cu (0.659, 0.662, 0.842)
O (0.095, 0.097, 0.719)
O (0.427, 0.420, 0.385)
F (0.016, 0.612, 0.690)
F (0.248, 0.249, 0.973)
F (0.300, 0.722, 0.996)
F (0.354, 0.943, 0.364)
F (0.559, 0.557, 0.644)
F (0.647, 0.043, 0.668)
F (0.694, 0.279, 0.026)
F (0.751, 0.753, 0.053)
F (0.906, 0.910, 0.303)
F (0.980, 0.388, 0.329)

Properties
Total magnetic moment (μB/f.u.): 1.0
Energy of formation from the pure elements (eV per atom): -1.597
E above lowest polymorph (eV/atom): 0.016
Energy with MP2020 corrections (eV/atom): -4.577
VASP energy (eV/atom): -4.2435